Na4Ti2In2Si3S3O24 | GGA-PBE | optimized geometry

a b c (Å): 8.9681 8.9785 22.7628
angles (deg): 89.09 89.87 60.23
With the nearest neighbours (Å) after each atom.
Space group P1 (No. 1)
Symmetry-distinct sites (fractional):
Na: 0.0000 0.0000 0.0000 x1  3 O 2.41-2.61
Na: 0.0003 0.0073 0.5088 x1  5 O 2.46-2.71
Na: 0.0321 0.6663 0.5922 x1  3 O 2.36-2.49
Na: 0.3127 0.6693 0.0837 x1  5 O 2.36-2.59
Na: 0.3283 0.3370 0.6731 x1  5 O 2.43-2.68
Na: 0.3498 0.3337 0.1628 x1  3 O 2.32-2.57
Na: 0.3676 0.0115 0.2466 x1  5 O 2.33-2.56
Na: 0.6473 0.9993 0.7590 x1  7 O 2.40-2.67
Na: 0.6790 0.6857 0.8425 x1  5 O 2.46-2.72
Na: 0.6822 0.6680 0.3368 x1  5 O 2.41-2.61
Na: 0.6974 0.3377 0.9296 x1  3 O 2.31-2.51
Na: 0.9705 0.3448 0.4200 x1  5 O 2.37-2.60
Ti: 0.0020 0.0423 0.1463 x1  3 O 1.78-1.89
Ti: 0.3090 0.3615 0.3194 x1  3 O 1.80-2.00
Ti: 0.3335 0.3606 0.8265 x1  4 O 1.80-1.98
Ti: 0.6383 0.6961 0.9855 x1  4 O 1.84-1.96
Ti: 0.6973 0.6739 0.4922 x1  3 O 1.81-1.94
Ti: 0.9973 0.0056 0.6510 x1  4 O 1.88-2.09
In: 0.0123 0.9911 0.8582 x1  4 O 2.00-2.16
In: 0.3377 0.3429 0.5252 x1  6 O 2.03-2.27
In: 0.3474 0.3318 0.0235 x1  5 O 2.01-2.21
In: 0.6787 0.6773 0.6896 x1  5 O 2.01-2.21
In: 0.6811 0.6685 0.1864 x1  4 O 2.00-2.10
In: 0.9942 0.0103 0.3549 x1  5 O 2.03-2.26
Si: 0.0104 0.7080 0.7556 x1  4 O 1.60-1.71
Si: 0.0409 0.6449 0.4245 x1  4 O 1.60-1.72
Si: 0.3343 0.6417 0.9273 x1  4 O 1.60-1.70
Si: 0.3784 0.9738 0.0933 x1  4 O 1.59-1.70
Si: 0.6284 0.0491 0.9203 x1  4 O 1.60-1.70
Si: 0.6673 0.3926 0.0876 x1  4 O 1.60-1.70
Si: 0.6691 0.9758 0.5918 x1  4 O 1.59-1.72
Si: 0.9668 0.3734 0.5910 x1  4 O 1.59-1.73
Si: 0.9969 0.3094 0.2581 x1  4 O 1.60-1.72
S: 0.0418 0.3508 0.9210 x1  4 O 1.47-1.51
S: 0.2912 0.0146 0.7535 x1  4 O 1.47-1.50
S: 0.2962 0.7130 0.2570 x1  4 O 1.48-1.51
S: 0.3434 0.0468 0.4205 x1  4 O 1.47-1.51
S: 0.3797 0.6854 0.5887 x1  4 O 1.46-1.51
S: 0.6228 0.3519 0.4208 x1  4 O 1.47-1.50
S: 0.7037 0.0171 0.2553 x1  4 O 1.47-1.50
S: 0.7111 0.3012 0.7550 x1  4 O 1.47-1.51
S: 0.9623 0.6861 0.0890 x1  4 O 1.47-1.51
O: 0.0144 0.8344 0.4165 x1  1 Si 1.60
O: 0.0146 0.2025 0.9127 x1  1 S 1.48
O: 0.0307 0.8135 0.6954 x1  1 Si 1.71, 1 Ti 1.88
O: 0.0364 0.1737 0.2030 x1  1 Si 1.67
O: 0.1368 0.3695 0.8690 x1  1 S 1.51
O: 0.1373 0.5358 0.0842 x1  1 S 1.48
O: 0.1392 0.3206 0.9757 x1  1 S 1.47
O: 0.1439 0.5083 0.3675 x1  1 Si 1.72, 1 Ti 1.80
O: 0.1497 0.3666 0.5838 x1  1 Si 1.62
O: 0.1512 0.5590 0.4828 x1  1 Si 1.60
O: 0.1828 0.0316 0.7014 x1  1 S 1.49
O: 0.1840 0.0343 0.4159 x1  1 S 1.49
O: 0.1857 0.3134 0.2661 x1  1 Si 1.72, 1 Ti 1.84
O: 0.1856 0.8371 0.9207 x1  1 Si 1.60
O: 0.1881 0.5195 0.7645 x1  1 Si 1.66
O: 0.1907 0.9715 0.0993 x1  1 Si 1.70, 1 Ti 1.83
O: 0.1927 0.7876 0.2031 x1  1 S 1.48
O: 0.2050 0.8442 0.5912 x1  1 S 1.51
O: 0.2137 0.9990 0.8086 x1  1 S 1.47
O: 0.2153 0.8186 0.3092 x1  1 S 1.48
O: 0.3027 0.5637 0.9865 x1  1 Si 1.60
O: 0.3131 0.1555 0.4721 x1  1 S 1.48
O: 0.3148 0.1675 0.7550 x1  1 S 1.49
O: 0.3164 0.5364 0.2660 x1  1 S 1.51
O: 0.3313 0.1691 0.0864 x1  1 Si 1.59
O: 0.3498 0.5372 0.5843 x1  1 S 1.49
O: 0.3632 0.5082 0.8707 x1  1 Si 1.70, 1 Ti 1.80
O: 0.3640 0.1336 0.3661 x1  1 S 1.51
O: 0.4649 0.8572 0.7509 x1  1 S 1.50
O: 0.4679 0.6975 0.2543 x1  1 S 1.48
O: 0.4695 0.7030 0.5362 x1  1 S 1.49
O: 0.4740 0.8402 0.0375 x1  1 Si 1.68, 1 Ti 1.84
O: 0.4749 0.6605 0.6436 x1  1 S 1.46
O: 0.4792 0.8978 0.1550 x1  1 Si 1.62
O: 0.4968 0.8761 0.4265 x1  1 S 1.47
O: 0.4999 0.3700 0.0859 x1  1 Si 1.61
O: 0.5031 0.1471 0.8602 x1  1 Si 1.70
O: 0.5178 0.1671 0.5805 x1  1 Si 1.59
O: 0.5186 0.3620 0.3685 x1  1 S 1.49
O: 0.5230 0.6376 0.9288 x1  1 Si 1.68
O: 0.5306 0.1758 0.2607 x1  1 S 1.50
O: 0.5431 0.3020 0.7584 x1  1 S 1.50
O: 0.5508 0.1680 0.9763 x1  1 Si 1.60
O: 0.5527 0.3229 0.4753 x1  1 S 1.47
O: 0.6310 0.9068 0.6519 x1  1 Si 1.60
O: 0.6331 0.4998 0.1467 x1  1 Si 1.60
O: 0.6364 0.5111 0.4232 x1  1 S 1.50
O: 0.6479 0.8567 0.9310 x1  1 Si 1.66
O: 0.6732 0.8686 0.2518 x1  1 S 1.49
O: 0.6766 0.4781 0.7473 x1  1 S 1.47
O: 0.7005 0.4823 0.0288 x1  1 Si 1.65
O: 0.7073 0.8344 0.5361 x1  1 Si 1.72, 1 Ti 1.81
O: 0.7948 0.0350 0.2040 x1  1 S 1.47
O: 0.8032 0.2031 0.4177 x1  1 S 1.50
O: 0.8025 0.9849 0.3106 x1  1 S 1.48
O: 0.8047 0.1876 0.7040 x1  1 S 1.51
O: 0.8105 0.2332 0.8100 x1  1 S 1.47
O: 0.8107 0.0472 0.9148 x1  1 Si 1.63
O: 0.8356 0.6936 0.7534 x1  1 Si 1.64
O: 0.8418 0.5031 0.2533 x1  1 Si 1.60
O: 0.8426 0.4740 0.5294 x1  1 Si 1.73, 1 Ti 1.81
O: 0.8468 0.1985 0.0972 x1  1 Si 1.70, 1 Ti 1.78
O: 0.8512 0.7101 0.0383 x1  1 S 1.47
O: 0.8536 0.6452 0.4284 x1  1 Si 1.68
O: 0.8579 0.9712 0.5960 x1  1 Si 1.68
O: 0.8715 0.5086 0.9227 x1  1 S 1.48
O: 0.8807 0.5017 0.6438 x1  1 Si 1.59
O: 0.8969 0.6575 0.1455 x1  1 S 1.48
O: 0.9601 0.8425 0.8076 x1  1 Si 1.60
O: 0.9809 0.1851 0.5982 x1  1 Si 1.64
O: 0.9824 0.2259 0.3199 x1  1 Si 1.62
O: 0.9819 0.8433 0.0948 x1  1 S 1.51

Properties
energy relative to the elements	-2501	meV/atom